# 1
{
  "formula": "Li2Fe2Si3O9",
  "functional": "PBE+U",
  "state": "relaxed",
  "de_polymorph_ev_per_atom": 0.000,
  "energy_mp2020_ev_per_atom": -7.75,
  "vol_a3_per_atom": 11.44,
  "energy_ev_per_cell": -679.78,
  "e_form_ev_per_atom": -2.6516,
  "cell": [[10.176, 0.000, -0.001], [-5.088, 8.814, 0.000], [-0.001, 0.000, 12.247]],
  "species": ["O", "O", "O", "O", "O", "O", "O", "O", "O", "O", "O", "O", "O", "O", "O", "O", "O", "O", "O", "O", "O", "O", "O", "O", "O", "O", "O", "O", "O", "O", "O", "O", "O", "O", "O", "O", "O", "O", "O", "O", "O", "O", "O", "O", "O", "O", "O", "O", "O", "O", "O", "O", "O", "O", "Fe", "Fe", "Fe", "Fe", "Fe", "Fe", "Fe", "Fe", "Fe", "Fe", "Fe", "Fe", "Li", "Li", "Li", "Li", "Li", "Li", "Li", "Li", "Li", "Li", "Li", "Li", "Si", "Si", "Si", "Si", "Si", "Si", "Si", "Si", "Si", "Si", "Si", "Si", "Si", "Si", "Si", "Si", "Si", "Si"],
  "fractional_positions": [[0.613, 0.653, 0.485], [0.338, 0.620, 0.477], [0.137, 0.691, 0.216], [0.105, 0.831, 0.436], [0.086, 0.060, 0.517], [0.900, 0.801, 0.648], [0.475, 0.950, 0.780], [0.350, 0.069, 0.490], [0.150, 0.347, 0.528], [0.123, 0.196, 0.705], [0.727, 0.895, 0.769], [0.194, 0.417, 0.313], [0.900, 0.099, 0.981], [0.652, 0.803, 0.195], [0.819, 0.445, 0.234], [0.804, 0.926, 0.371], [0.462, 0.255, 0.127], [0.253, 0.129, 0.906], [0.583, 0.777, 0.980], [0.475, 0.525, 0.113], [0.074, 0.878, 0.038], [0.719, 0.650, 0.824], [0.169, 0.273, 0.103], [0.870, 0.123, 0.573], [0.309, 0.446, 0.883], [0.931, 0.281, 0.157], [0.380, 0.719, 0.144], [0.545, 0.451, 0.323], [0.197, 0.849, 0.862], [0.745, 0.207, 0.794], [0.830, 0.229, 0.362], [0.940, 0.026, 0.184], [0.907, 0.456, 0.657], [0.793, 0.538, 0.460], [0.398, 0.170, 0.696], [0.876, 0.747, 0.239], [0.554, 0.863, 0.549], [0.281, 0.661, 0.811], [0.146, 0.553, 0.005], [0.549, 0.093, 0.990], [0.447, 0.593, 0.672], [0.771, 0.602, 0.029], [0.407, 0.853, 0.338], [0.050, 0.525, 0.447], [0.974, 0.915, 0.850], [0.507, 0.364, 0.532], [0.636, 0.143, 0.198], [0.199, 0.100, 0.315], [0.858, 0.493, 0.865], [0.223, 0.806, 0.646], [0.347, 0.960, 0.151], [0.040, 0.387, 0.818], [0.555, 0.374, 0.901], [0.626, 0.181, 0.568], [0.656, 0.491, 0.172], [0.988, 0.664, 0.582], [0.966, 0.634, 0.337], [0.155, 0.488, 0.160], [0.333, 0.845, 0.494], [0.669, 0.034, 0.671], [0.366, 0.331, 0.004], [0.512, 0.667, 0.827], [0.835, 0.344, 0.505], [0.336, 0.324, 0.249], [0.509, 0.165, 0.839], [0.676, 0.012, 0.916], [0.956, 0.682, 0.120], [0.236, 0.437, 0.681], [0.013, 0.164, 0.841], [0.725, 0.044, 0.454], [0.202, 0.764, 0.015], [0.851, 0.826, 0.004], [0.319, 0.275, 0.787], [0.835, 0.849, 0.508], [0.975, 0.149, 0.338], [0.174, 0.025, 0.671], [0.152, 0.988, 0.175], [0.563, 0.798, 0.348], [0.525, 0.702, 0.101], [0.478, 0.200, 0.576], [0.491, 0.681, 0.557], [0.880, 0.383, 0.779], [0.131, 0.952, 0.918], [0.983, 0.166, 0.097], [0.184, 0.017, 0.430], [0.722, 0.522, 0.909], [0.821, 0.869, 0.252], [0.503, 0.120, 0.112], [0.298, 0.823, 0.767], [0.617, 0.497, 0.446], [0.834, 0.816, 0.763], [0.048, 0.178, 0.585], [0.190, 0.509, 0.890], [0.177, 0.475, 0.434], [0.800, 0.278, 0.243], [0.319, 0.810, 0.224]]
}

***

# 2
{
  "formula": "K2MgCo2O4",
  "functional": "PBE+U",
  "state": "relaxed",
  "de_polymorph_ev_per_atom": 0.307,
  "energy_mp2020_ev_per_atom": -5.53,
  "vol_a3_per_atom": 13.26,
  "energy_ev_per_cell": -43.71,
  "e_form_ev_per_atom": -1.3224,
  "cell": [[3.890, 0.000, 0.000], [0.000, 3.890, 0.000], [0.000, 0.000, 7.886]],
  "species": ["O", "O", "O", "O", "K", "K", "Mg", "Co", "Co"],
  "fractional_positions": [[0.750, 0.750, 0.630], [0.250, 0.250, 0.370], [0.250, 0.750, 0.000], [0.750, 0.250, 0.000], [0.750, 0.750, 0.255], [0.250, 0.250, 0.745], [0.250, 0.750, 0.500], [0.750, 0.750, 0.897], [0.250, 0.250, 0.103]]
}